DFT (meta-GGA r2SCAN) results for a relaxed structure of Na2Ge2O5.

a = 4.921 Å, b = 8.385 Å, c = 12.549 Å
α = 77.07°, β = 90.00°, γ = 90.00°
Fractional positions:
Na (0.716, 0.140, 0.026)
Na (0.256, 0.380, 0.051)
Na (0.756, 0.620, 0.449)
Na (0.784, 0.140, 0.526)
Na (0.216, 0.860, 0.474)
Na (0.244, 0.380, 0.551)
Na (0.744, 0.620, 0.949)
Na (0.284, 0.860, 0.974)
Ge (0.803, 0.400, 0.223)
Ge (0.669, 0.024, 0.323)
Ge (0.169, 0.976, 0.177)
Ge (0.303, 0.600, 0.277)
Ge (0.697, 0.400, 0.723)
Ge (0.831, 0.024, 0.823)
Ge (0.331, 0.976, 0.677)
Ge (0.197, 0.600, 0.777)
O (0.242, 0.104, 0.055)
O (0.729, 0.387, 0.092)
O (0.314, 0.014, 0.298)
O (0.160, 0.437, 0.227)
O (0.241, 0.772, 0.168)
O (0.741, 0.228, 0.332)
O (0.660, 0.563, 0.273)
O (0.814, 0.986, 0.202)
O (0.229, 0.613, 0.408)
O (0.258, 0.104, 0.555)
O (0.742, 0.896, 0.445)
O (0.771, 0.387, 0.592)
O (0.186, 0.014, 0.798)
O (0.340, 0.437, 0.727)
O (0.259, 0.772, 0.668)
O (0.759, 0.228, 0.832)
O (0.840, 0.563, 0.773)
O (0.686, 0.986, 0.702)
O (0.271, 0.613, 0.908)
O (0.758, 0.896, 0.945)

Values from the calculation:
Raw total energy   -9.109 eV/atom
Energy above the lowest structure with this stoichiometry   0.0 meV/atom
Magnetization   0.00 Bohr magnetons per cell
ΔH_f (0 K)   -1664 kJ/mol of formula units